[1]
Compound: Mg3MnNi3O8
Source: Materials Project
Functional: GGA+U
Structure: optimized geometry

Computed properties:
ΔH_f (0 K) = -2107 meV per atom
SG = R-3m (166)
final energy = -87.7 eV for the cell shown

abc: 5.948 5.948 5.948
angles: 60.52 60.52 60.52
Positions (direct):
Mg (0.000, 0.500, 0.500)
Mg (0.500, 0.000, 0.500)
Mg (0.500, 0.500, 0.000)
Mn (0.000, 0.000, 0.000)
Ni (0.000, 0.000, 0.500)
Ni (0.000, 0.500, 0.000)
Ni (0.500, 0.000, 0.000)
O (0.229, 0.229, 0.770)
O (0.229, 0.770, 0.229)
O (0.230, 0.771, 0.771)
O (0.251, 0.251, 0.251)
O (0.749, 0.749, 0.749)
O (0.770, 0.229, 0.229)
O (0.771, 0.230, 0.771)
O (0.771, 0.771, 0.230)

---

[2]
Compound: MgMn4Ni2O8
Source: Materials Project
Functional: GGA+U
Structure: optimized geometry

Computed properties:
ΔH_f (0 K) = -1769 meV per atom
SG = Cm (8)
distance to the lowest polymorph of the same formula = 12.4 meV per atom
final energy = -98.7 eV for the cell shown

abc: 5.982 5.982 6.591
angles: 119.77 119.77 59.74
Positions (direct):
Mg (0.000, 0.000, 0.000)
Mn (0.175, 0.175, 0.467)
Mn (0.500, 0.500, 0.000)
Mn (0.500, 0.500, 0.501)
Mn (0.822, 0.822, 0.533)
Ni (0.000, 0.500, 0.001)
Ni (0.500, 0.000, 0.001)
O (0.248, 0.248, 0.230)
O (0.253, 0.731, 0.775)
O (0.269, 0.746, 0.226)
O (0.274, 0.274, 0.824)
O (0.725, 0.725, 0.176)
O (0.731, 0.253, 0.775)
O (0.746, 0.269, 0.226)
O (0.752, 0.752, 0.771)

---

[3]
Compound: Mg6MnNiO8
Source: Materials Project
Functional: GGA+U
Structure: optimized geometry

Computed properties:
ΔH_f (0 K) = -2659 meV per atom
SG = P4/mmm (123)
final energy = -97.0 eV for the cell shown

abc: 4.294 4.294 8.560
angles: 90.00 90.00 90.00
Positions (direct):
Mg (0.000, 0.000, 0.000)
Mg (0.000, 0.500, 0.249)
Mg (0.000, 0.500, 0.751)
Mg (0.500, 0.000, 0.249)
Mg (0.500, 0.000, 0.751)
Mg (0.500, 0.500, 0.000)
Mn (0.000, 0.000, 0.500)
Ni (0.500, 0.500, 0.500)
O (0.000, 0.000, 0.242)
O (0.000, 0.000, 0.758)
O (0.000, 0.500, 0.000)
O (0.000, 0.500, 0.500)
O (0.500, 0.000, 0.000)
O (0.500, 0.000, 0.500)
O (0.500, 0.500, 0.251)
O (0.500, 0.500, 0.749)

---

[4]
Compound: MgMn5NiO12
Source: Materials Project
Functional: GGA+U
Structure: optimized geometry

Computed properties:
ΔH_f (0 K) = -1790 meV per atom
SG = P1 (1)
distance to the lowest polymorph of the same formula = 0.0 meV per atom
final energy = -127.4 eV for the cell shown

abc: 5.056 5.056 9.892
angles: 94.15 94.19 118.69
Positions (direct):
Mg (0.000, 0.000, 0.000)
Mn (0.048, 0.721, 0.255)
Mn (0.250, 0.581, 0.755)
Mn (0.386, 0.390, 0.264)
Mn (0.579, 0.252, 0.755)
Mn (0.717, 0.053, 0.254)
Ni (0.908, 0.910, 0.733)
O (0.022, 0.346, 0.151)
O (0.038, 0.042, 0.359)
O (0.239, 0.893, 0.655)
O (0.280, 0.282, 0.862)
O (0.342, 0.026, 0.151)
O (0.414, 0.759, 0.351)
O (0.517, 0.520, 0.650)
O (0.628, 0.944, 0.852)
O (0.728, 0.732, 0.140)
O (0.754, 0.417, 0.351)
O (0.890, 0.242, 0.655)
O (0.942, 0.630, 0.852)

---

[5]
Compound: MgMn4Ni2O8
Source: Materials Project
Functional: GGA+U
Structure: optimized geometry

Computed properties:
ΔH_f (0 K) = -1718 meV per atom
SG = Imm2 (44)
distance to the lowest polymorph of the same formula = 64.2 meV per atom
final energy = -97.9 eV for the cell shown

abc: 6.190 6.190 6.190
angles: 120.49 116.29 92.85
Positions (direct):
Mg (0.000, 0.000, 0.000)
Mn (0.148, 0.409, 0.739)
Mn (0.582, 0.082, 0.500)
Mn (0.670, 0.409, 0.261)
Mn (0.687, 0.687, 0.000)
Ni (0.211, 0.488, 0.277)
Ni (0.211, 0.934, 0.723)
O (0.334, 0.635, 0.699)
O (0.386, 0.183, 0.203)
O (0.441, 0.218, 0.778)
O (0.441, 0.663, 0.222)
O (0.875, 0.138, 0.263)
O (0.875, 0.612, 0.737)
O (0.936, 0.635, 0.301)
O (0.981, 0.183, 0.797)

---

[6]
Compound: MgMn4Ni2O12
Source: Materials Project
Functional: GGA+U
Structure: optimized geometry

Computed properties:
ΔH_f (0 K) = -1646 meV per atom
SG = P1 (1)
distance to the lowest polymorph of the same formula = 4.9 meV per atom
final energy = -120.5 eV for the cell shown

abc: 5.004 5.044 10.218
angles: 80.31 88.38 60.40
Positions (direct):
Mg (0.000, 0.000, 0.000)
Mn (0.030, 0.214, 0.253)
Mn (0.212, 0.842, 0.738)
Mn (0.551, 0.173, 0.743)
Mn (0.700, 0.883, 0.251)
Ni (0.365, 0.549, 0.251)
Ni (0.880, 0.507, 0.744)
O (0.020, 0.602, 0.149)
O (0.020, 0.868, 0.351)
O (0.200, 0.543, 0.650)
O (0.220, 0.128, 0.845)
O (0.338, 0.923, 0.149)
O (0.381, 0.176, 0.343)
O (0.536, 0.881, 0.650)
O (0.572, 0.460, 0.842)
O (0.712, 0.510, 0.343)
O (0.716, 0.228, 0.141)
O (0.865, 0.191, 0.642)
O (0.901, 0.826, 0.853)

---

[7]
Compound: MgMn5NiO12
Source: Materials Project
Functional: GGA+U
Structure: optimized geometry

Computed properties:
ΔH_f (0 K) = -1786 meV per atom
SG = P1 (1)
distance to the lowest polymorph of the same formula = 3.6 meV per atom
final energy = -127.4 eV for the cell shown

abc: 5.031 5.101 10.043
angles: 94.45 93.09 119.49
Positions (direct):
Mg (0.000, 0.000, 0.000)
Mn (0.120, 0.055, 0.273)
Mn (0.296, 0.956, 0.751)
Mn (0.454, 0.723, 0.255)
Mn (0.782, 0.384, 0.257)
Mn (0.965, 0.288, 0.751)
Ni (0.629, 0.621, 0.752)
O (0.094, 0.342, 0.157)
O (0.146, 0.742, 0.355)
O (0.277, 0.596, 0.660)
O (0.286, 0.278, 0.864)
O (0.410, 0.023, 0.157)
O (0.480, 0.424, 0.355)
O (0.607, 0.267, 0.660)
O (0.663, 0.976, 0.854)
O (0.777, 0.739, 0.149)
O (0.797, 0.045, 0.363)
O (0.965, 0.956, 0.652)
O (0.981, 0.659, 0.853)

---

[8]
Compound: MgMn4NiO8
Source: Materials Project
Functional: GGA+U
Structure: optimized geometry

Computed properties:
ΔH_f (0 K) = -1965 meV per atom
SG = P-1 (2)
distance to the lowest polymorph of the same formula = 0.0 meV per atom
final energy = -96.4 eV for the cell shown

abc: 5.944 6.007 6.024
angles: 118.27 92.01 118.56
Positions (direct):
Mg (0.000, 0.000, 0.000)
Mn (0.000, 0.000, 0.500)
Mn (0.000, 0.500, 0.500)
Mn (0.500, 0.500, 0.000)
Mn (0.500, 0.500, 0.500)
Ni (0.500, 0.000, 0.500)
O (0.233, 0.002, 0.735)
O (0.258, 0.056, 0.301)
O (0.265, 0.497, 0.264)
O (0.272, 0.503, 0.722)
O (0.728, 0.497, 0.278)
O (0.735, 0.503, 0.736)
O (0.742, 0.944, 0.699)
O (0.767, 0.998, 0.265)